1.
Entry from Materials Project: a relaxed K4Cd2S4O19 crystal (GGA-PBE).

extended XYZ file:
```
116
Lattice="10.0561 0.0000 0.0000 0.0000 9.9087 0.0000 -4.0005 0.0000 19.9944" Properties=species:S:1:pos:R:3 pbc="T T T"
K 0.0000 0.1719 0.0000
K -2.0003 9.7368 9.9972
K -0.2330 2.7953 3.1835
K -2.2332 7.1134 13.1807
K -1.3649 2.1600 14.4278
K 0.6354 7.7487 4.4305
K -1.5982 4.7824 17.6074
K 0.4020 5.1263 7.6102
K 2.3094 1.5734 6.3861
K 0.3091 8.3353 16.3833
K 2.8917 0.3858 9.7679
K 0.8914 9.5229 19.7651
K 5.5666 4.5681 7.8424
K 3.5663 5.3406 17.8396
K 6.1480 3.3807 11.2244
K 8.1482 6.5280 1.2272
Cd 2.9686 3.0826 0.8817
Cd 0.9684 6.8261 10.8789
Cd 2.5218 2.7380 13.3050
Cd 4.5220 7.1707 3.3078
Cd 5.9355 2.2173 4.3042
Cd 3.9353 7.6914 14.3014
Cd 5.4885 1.8708 16.7267
Cd 7.4887 8.0379 6.7295
S -1.2204 1.3556 17.7977
S 0.7798 8.5531 7.8005
S 3.0083 0.5167 3.2113
S 1.0080 9.3920 13.2085
S 2.9355 4.4388 4.2168
S 0.9352 5.4699 14.2140
S 2.6091 3.7757 9.9780
S 0.6088 6.1330 19.9752
S 5.8477 1.1791 7.6306
S 3.8475 8.7296 17.6278
S 5.5233 0.5128 13.3943
S 7.5235 9.3959 3.3971
S 5.4512 4.4388 14.3990
S 7.4515 5.4700 4.4018
S 5.6773 3.5982 19.8062
S 7.6776 6.3105 9.8090
O -0.6937 3.0618 6.0458
O -2.6940 6.8469 16.0430
O -0.7441 1.9031 6.4701
O -2.7444 8.0056 16.4673
O 0.7907 2.7824 0.3350
O -1.2096 7.1263 10.3322
O -2.3892 2.1709 17.2732
O -0.3889 7.7378 7.2760
O -0.8483 3.0462 11.1230
O 1.1520 6.8625 1.1258
O -0.9064 1.8925 11.5653
O 1.0939 8.0162 1.5681
O -1.6685 0.1247 18.4847
O 0.3317 9.7840 8.4875
O 1.6464 0.8635 3.6475
O -0.3539 9.0452 13.6447
O 2.3616 3.8755 2.8946
O 0.3613 6.0332 12.8918
O -0.3379 1.0405 16.6555
O 1.9364 4.1042 5.3036
O -0.0639 5.8045 15.3008
O 1.6623 8.8682 6.6582
O -0.4693 2.2467 18.7707
O 1.5310 7.6620 8.7735
O 1.4862 4.7683 10.1131
O 3.4864 5.1404 0.1159
O 3.2682 0.9311 1.7960
O 1.2680 8.9776 11.7933
O 0.8461 3.9108 14.0650
O 2.8464 5.9979 4.0678
O 1.1683 0.9653 13.3082
O 3.1686 8.9434 3.3110
O 2.4279 3.0493 8.6957
O 0.4276 6.8594 18.6929
O 2.4886 2.7400 11.0819
O 4.4889 7.1687 1.0847
O 3.9940 1.1717 4.1427
O 1.9938 8.7370 14.1399
O 2.1557 3.0275 16.6643
O 4.1560 6.8812 6.6671
O 5.6009 2.6630 1.6533
O 3.9156 4.4517 10.0604
O 5.9159 5.4570 0.0631
O 3.6007 7.2457 11.6505
O 4.5427 0.5038 7.5493
O 2.8581 2.2917 15.9546
O 4.8584 7.6170 5.9574
O 2.5424 9.4049 17.5465
O 6.3075 1.9235 0.9412
O 4.3072 7.9852 10.9384
O 4.4634 3.7875 13.4671
O 6.4637 6.1212 3.4699
O 5.9704 2.2149 6.5278
O 3.9701 7.6938 16.5250
O 6.0290 1.9050 8.9121
O 4.0287 8.0037 18.9093
O 7.2932 3.9879 4.3043
O 5.2930 5.9208 14.3015
O 7.6114 1.0443 3.5462
O 5.6112 8.8644 13.5434
O 5.1906 4.0230 15.8134
O 7.1908 5.8857 5.8162
O 6.9714 0.1870 7.4945
O 4.9711 9.7217 17.4917
O 4.9263 2.7079 18.8322
O 6.9266 7.2008 8.8350
O 6.5205 0.8510 12.3052
O 8.5207 9.0577 2.3080
O 8.7970 3.9134 0.9531
O 6.7967 5.9953 10.9503
O 6.0948 1.0801 14.7127
O 8.0950 8.8286 4.7155
O 6.8112 4.0903 13.9623
O 8.8114 5.8184 3.9651
O 6.1264 4.8296 19.1184
O 8.1267 5.0791 9.1212
```

Computed properties:
The density comes out at 2.71 g cm⁻³. Its formation energy is -1.462 eV/atom. For the offset from the most stable computed form, the calculation gives 0.015 eV/atom.


2.
Entry from Materials Project: a relaxed SbPt3 crystal (GGA-PBE).

extended XYZ file:
```
8
Lattice="-2.0025 2.0025 8.6187 2.0025 -2.0025 8.6187 2.0025 2.0025 -8.6187" Properties=species:S:1:pos:R:3 pbc="T T T"
Sb 0.0000 0.0000 2.3383
Sb 0.0000 0.0000 14.8990
Pt 2.0025 0.0000 0.0000
Pt 2.0025 0.0000 4.3093
Pt 0.0000 0.0000 6.6490
Pt 0.0000 2.0025 0.0000
Pt 0.0000 0.0000 10.5883
Pt 0.0000 2.0025 4.3093
```

Computed properties:
The density comes out at 16.98 g cm⁻³. Its formation energy is -0.189 eV/atom.


3.
Entry from Materials Project: a relaxed Pr2O3 crystal (GGA-PBE).

extended XYZ file:
```
15
Lattice="7.3332 -1.8713 0.0000 7.3332 1.8713 0.0000 -1.6135 0.0000 8.9946" Properties=species:S:1:pos:R:3 pbc="T T T"
Pr -0.0151 0.0000 2.8042
Pr 3.9509 0.0000 3.2554
Pr 5.3453 0.0000 0.0900
Pr 7.7077 0.0000 8.9045
Pr 9.1020 0.0000 5.7392
Pr 13.0680 0.0000 6.1903
O 0.6268 0.0000 7.0682
O 1.8093 0.0000 4.2603
O 2.7540 0.0000 1.1421
O 5.5887 0.0000 7.5921
O 6.5265 0.0000 4.4973
O 7.4643 0.0000 1.4025
O 10.2990 0.0000 7.8525
O 11.2437 0.0000 4.7343
O 12.4262 0.0000 1.9264
```

Computed properties:
The density comes out at 6.66 g cm⁻³. Its formation energy is -3.709 eV/atom.


4.
Entry from Materials Project: a relaxed ScGa6Co6 crystal (GGA-PBE).

extended XYZ file:
```
13
Lattice="0.0000 6.0582 6.1504 2.4447 0.0000 6.1504 2.4447 6.0582 0.0000" Properties=species:S:1:pos:R:3 pbc="T T T"
Sc 0.0000 0.0000 0.0000
Ga 1.2223 0.0000 3.0752
Ga 2.4447 4.3907 4.6513
Ga 2.4447 4.3907 7.6494
Ga 1.2223 6.0582 3.0752
Ga 2.4447 7.7256 4.6513
Ga 2.4447 7.7256 7.6494
Co 1.2223 3.0291 0.0000
Co 2.4447 4.0588 2.1438
Co 2.4447 8.0575 2.1438
Co 1.2223 3.0291 6.1504
Co 2.4447 4.0588 10.1570
Co 2.4447 8.0575 10.1570
```

Computed properties:
The density comes out at 7.45 g cm⁻³. Its formation energy is -0.121 eV/atom.


5.
Entry from Materials Project: a relaxed Ba2NaLaTi4O12 crystal (GGA-PBE).

extended XYZ file:
```
20
Lattice="-2.8129 2.8129 7.9347 2.8129 -2.8129 7.9347 2.8129 2.8129 -7.9347" Properties=species:S:1:pos:R:3 pbc="T T T"
Ba 0.0000 0.0000 3.9272
Ba 0.0000 0.0000 11.9423
Na 0.0000 0.0000 0.0000
La 0.0000 0.0000 7.9347
Ti 2.8129 0.0000 1.9299
Ti 2.8129 0.0000 6.0048
Ti 0.0000 2.8129 1.9299
Ti 0.0000 2.8129 6.0048
O 2.8129 0.0000 0.0000
O 1.4433 1.4433 -1.8927
O 1.3696 -1.3696 6.0420
O 2.8129 0.0000 3.9674
O 1.4433 1.4433 1.8927
O 1.3696 -1.3696 9.8274
O 0.0000 2.8129 0.0000
O 1.4433 4.1825 -1.8927
O 1.3696 1.3696 6.0420
O 0.0000 2.8129 3.9674
O -1.3696 1.3696 9.8274
O 1.3696 1.3696 9.8274
```

Computed properties:
The density comes out at 5.42 g cm⁻³. Its formation energy is -3.448 eV/atom.


6.
Entry from Materials Project: a relaxed Sr2GaP2O8F2 crystal (GGA-PBE).

extended XYZ file:
```
60
Lattice="8.2731 0.0000 0.0000 0.0000 7.3682 0.0000 -3.8948 0.0000 13.1217" Properties=species:S:1:pos:R:3 pbc="T T T"
Sr -0.5552 1.2205 5.5438
Sr -2.5026 2.4636 12.1047
Sr 0.5546 4.9382 7.2814
Sr 2.5020 6.1141 0.7205
Sr 1.8764 1.2541 12.4012
Sr 3.8238 2.4300 5.8403
Sr 6.8810 4.9046 1.0170
Sr 4.9336 6.1477 7.5779
Ga 1.1031 3.7044 3.7834
Ga -0.8442 7.3478 10.3443
Ga 5.2226 0.0204 2.7775
Ga 3.2752 3.6637 9.3383
P -0.1793 1.4550 1.7053
P -2.1267 2.2291 8.2662
P 0.7028 4.4581 11.0939
P 2.6502 6.5941 4.5331
P 1.7282 0.7741 8.5887
P 3.6756 2.9100 2.0278
P 6.5050 5.1391 4.8555
P 4.5577 5.9132 11.4164
O -3.2534 4.8658 12.4659
O -1.3060 6.1864 5.9050
O -0.5924 4.1277 4.6959
O -2.5398 6.9246 11.2567
O -1.8634 1.5248 9.6361
O 0.0839 2.1593 3.0752
O 1.0502 0.7403 1.1445
O -0.8972 2.9438 7.7054
O -0.6295 3.7004 10.8661
O 1.3179 7.3519 4.3053
O 0.9000 0.2133 7.4429
O 2.8474 3.4708 0.8821
O 2.0861 5.1651 4.8502
O 0.1387 5.8871 11.4111
O 0.9067 0.7904 9.9182
O 2.8541 2.8937 3.3574
O 1.5243 4.4745 9.7644
O 3.4716 6.5778 3.2035
O 4.2396 1.4810 1.7106
O 2.2922 2.2030 8.2715
O 1.5310 3.8974 12.2396
O 3.4783 7.1548 5.6788
O 3.0605 0.0163 8.8165
O 5.0079 3.6678 2.2556
O 5.2756 4.4243 5.4164
O 3.3282 6.6279 11.9772
O 4.2944 5.2089 10.0465
O 6.2418 5.8434 3.4856
O 6.9181 0.4436 1.8650
O 4.9707 3.2405 8.4259
O 5.6844 1.1818 7.2167
O 7.6318 2.5023 0.6559
F 0.8337 4.8898 2.3225
F -1.1136 6.1625 8.8834
F -0.5567 0.9124 12.0845
F 1.3907 2.7717 5.5237
F 2.9877 4.5965 7.5980
F 4.9350 6.4558 1.0372
F 5.4920 1.2057 4.2383
F 3.5446 2.4784 10.7992
```

Computed properties:
The density comes out at 3.93 g cm⁻³. Its formation energy is -3.009 eV/atom.